Compound: LiCdMoO5
Source: the Materials Project
Functional: GGA+U
Structure: optimized geometry

Values from the calculation:
E   -5.72 eV per atom
E above lowest polymorph   0.0 meV/atom
ΔE_f   -1.745 eV/atom

Unit cell a=10.032 b=5.815 c=8.021 alpha=90.00 beta=105.24 gamma=90.00
Fractional positions:
1 Li 0.051 0.081 0.350
2 Li 0.051 0.419 0.850
3 Li 0.949 0.581 0.150
4 Li 0.949 0.919 0.650
5 Cd 0.436 0.239 0.374
6 Cd 0.436 0.261 0.874
7 Cd 0.564 0.739 0.126
8 Cd 0.564 0.761 0.626
9 Mo 0.188 0.582 0.534
10 Mo 0.188 0.918 0.034
11 Mo 0.812 0.082 0.966
12 Mo 0.812 0.418 0.466
13 O 0.064 0.075 0.871
14 O 0.064 0.425 0.371
15 O 0.132 0.629 0.043
16 O 0.132 0.871 0.543
17 O 0.223 0.056 0.242
18 O 0.223 0.444 0.742
19 O 0.351 0.572 0.473
20 O 0.351 0.928 0.973
21 O 0.437 0.081 0.630
22 O 0.437 0.419 0.130
23 O 0.563 0.581 0.870
24 O 0.563 0.919 0.370
25 O 0.649 0.072 0.027
26 O 0.649 0.428 0.527
27 O 0.777 0.556 0.258
28 O 0.777 0.944 0.758
29 O 0.868 0.129 0.457
30 O 0.868 0.371 0.957
31 O 0.936 0.575 0.629
32 O 0.936 0.925 0.129